No. 1
Rb2ZrI6O18: relaxed, PBE-GGA.

## Properties
The formation energy is -1369 meV per atom.

Unit cell a=7.9072 b=7.9072 c=7.9072 alpha=97.31 beta=97.31 gamma=97.31
Fractional positions:
Rb 0.1680 0.1680 0.1680
Rb 0.8320 0.8320 0.8320
Zr 0.5000 0.5000 0.5000
I 0.1186 0.3346 0.7045
I 0.2955 0.8814 0.6654
I 0.3346 0.7045 0.1186
I 0.6654 0.2955 0.8814
I 0.7045 0.1186 0.3346
I 0.8814 0.6654 0.2955
O 0.0826 0.1008 0.6900
O 0.1008 0.6900 0.0826
O 0.1017 0.7214 0.6072
O 0.2782 0.3454 0.5469
O 0.2786 0.3928 0.8983
O 0.3100 0.9174 0.8992
O 0.3454 0.5469 0.2782
O 0.3928 0.8983 0.2786
O 0.4531 0.7218 0.6546
O 0.5469 0.2782 0.3454
O 0.6072 0.1017 0.7214
O 0.6546 0.4531 0.7218
O 0.6900 0.0826 0.1008
O 0.7214 0.6072 0.1017
O 0.7218 0.6546 0.4531
O 0.8983 0.2786 0.3928
O 0.8992 0.3100 0.9174
O 0.9174 0.8992 0.3100

***

No. 2
TlP2H5O8: relaxed, PBE-GGA.

## Properties
The formation energy is -1910 meV per atom.

Unit cell a=6.5377 b=6.5377 c=9.6958 alpha=98.38 beta=98.38 gamma=73.96
Fractional positions:
Tl 0.0000 0.0000 0.0000
Tl 0.0000 0.0000 0.5000
P 0.2611 0.3736 0.8057
P 0.3736 0.2611 0.3057
P 0.6264 0.7389 0.6943
P 0.7389 0.6264 0.1943
H 0.0872 0.5466 0.1751
H 0.2940 0.3782 0.5211
H 0.3040 0.6960 0.7500
H 0.3782 0.2940 0.0211
H 0.4534 0.9128 0.3249
H 0.5466 0.0872 0.6751
H 0.6218 0.7060 0.9789
H 0.6960 0.3040 0.2500
H 0.7060 0.6218 0.4789
H 0.9128 0.4534 0.8249
O 0.0437 0.3203 0.8215
O 0.2203 0.6192 0.8246
O 0.2616 0.4288 0.4240
O 0.2715 0.3473 0.1665
O 0.3203 0.0437 0.3215
O 0.3473 0.2715 0.6665
O 0.3808 0.7797 0.6754
O 0.4288 0.2616 0.9240
O 0.5712 0.7384 0.0760
O 0.6192 0.2203 0.3246
O 0.6527 0.7285 0.3335
O 0.6797 0.9563 0.6785
O 0.7285 0.6527 0.8335
O 0.7384 0.5712 0.5760
O 0.7797 0.3808 0.1754
O 0.9563 0.6797 0.1785

***

No. 3
Ca3Mg: relaxed, PBE-GGA.

## Properties
The formation energy is 12 meV per atom.

Unit cell a=7.1863 b=7.1863 c=7.1863 alpha=149.79 beta=62.26 gamma=126.96
Fractional positions:
Ca 0.0000 0.0000 0.0000
Ca 0.1231 0.3577 0.7654
Ca 0.5922 0.3577 0.2346
Mg 0.5155 0.0155 0.5000

***

No. 4
PmMg16Al12: relaxed, PBE-GGA.

## Properties
The formation energy is -66 meV per atom.

Unit cell a=9.2883 b=9.2883 c=9.2883 alpha=110.29 beta=110.29 gamma=110.29
Fractional positions:
Pm 0.0000 0.0000 0.0000
Mg 0.0194 0.3139 0.6268
Mg 0.0194 0.6268 0.3138
Mg 0.2381 0.2381 0.9065
Mg 0.2381 0.9065 0.2381
Mg 0.2801 0.6209 0.6209
Mg 0.3138 0.0194 0.6268
Mg 0.3138 0.6268 0.0194
Mg 0.3414 0.9405 0.9405
Mg 0.6209 0.2801 0.6209
Mg 0.6209 0.6209 0.2801
Mg 0.6213 0.6213 0.6213
Mg 0.6268 0.0194 0.3138
Mg 0.6268 0.3138 0.0194
Mg 0.9065 0.2381 0.2381
Mg 0.9405 0.3414 0.9405
Mg 0.9405 0.9405 0.3414
Al 0.2554 0.2554 0.4374
Al 0.2554 0.4374 0.2554
Al 0.4362 0.4362 0.7990
Al 0.4362 0.7990 0.4362
Al 0.4374 0.2554 0.2554
Al 0.6254 0.8094 0.9887
Al 0.6254 0.9887 0.8094
Al 0.7990 0.4362 0.4362
Al 0.8094 0.6254 0.9887
Al 0.8094 0.9887 0.6254
Al 0.9887 0.6254 0.8094
Al 0.9887 0.8094 0.6254

***

No. 5
SmHCO4: relaxed, PBE-GGA.

## Properties
The formation energy is -2550 meV per atom.

Unit cell a=4.9494 b=7.2440 c=8.6069 alpha=90.00 beta=90.00 gamma=90.00
Fractional positions:
Sm 0.0019 0.1094 0.1633
Sm 0.4981 0.8906 0.6633
Sm 0.5019 0.3906 0.8367
Sm 0.9981 0.6094 0.3367
H 0.1106 0.7470 0.0297
H 0.3894 0.2530 0.5297
H 0.6106 0.7530 0.9703
H 0.8894 0.2470 0.4703
C 0.0007 0.5519 0.6757
C 0.4993 0.4481 0.1757
C 0.5007 0.9481 0.3243
C 0.9993 0.0519 0.8243
O 0.0006 0.9545 0.6993
O 0.0053 0.2914 0.3860
O 0.2239 0.0965 0.8924
O 0.2287 0.5973 0.6108
O 0.2713 0.4027 0.1108
O 0.2761 0.9035 0.3924
O 0.4947 0.7086 0.8860
O 0.4994 0.0455 0.1993
O 0.5006 0.5455 0.3007
O 0.5053 0.2086 0.6140
O 0.7239 0.4035 0.1076
O 0.7287 0.9027 0.3892
O 0.7713 0.0973 0.8892
O 0.7761 0.5965 0.6076
O 0.9947 0.7914 0.1140
O 0.9994 0.4545 0.8007

***

No. 6
LiEr6B3O14: relaxed, PBE-GGA.

## Properties
The formation energy is -3621 meV per atom.

Unit cell a=8.3509 b=15.4842 c=11.9478 alpha=90.00 beta=132.57 gamma=90.00
Fractional positions:
Li 0.1200 0.1039 0.4395
Li 0.1200 0.3961 0.9395
Li 0.8800 0.6039 0.0605
Li 0.8800 0.8961 0.5605
Er 0.0158 0.6740 0.5556
Er 0.0158 0.8260 0.0556
Er 0.1517 0.6439 0.9247
Er 0.1517 0.8561 0.4247
Er 0.2391 0.5039 0.4388
Er 0.2391 0.9961 0.9388
Er 0.3344 0.0132 0.2824
Er 0.3344 0.4868 0.7824
Er 0.4125 0.6659 0.3344
Er 0.4125 0.8341 0.8344
Er 0.4498 0.1778 0.8072
Er 0.4498 0.3222 0.3073
Er 0.5502 0.6778 0.6928
Er 0.5502 0.8222 0.1928
Er 0.5875 0.1659 0.1656
Er 0.5875 0.3341 0.6656
Er 0.6656 0.5132 0.2176
Er 0.6656 0.9868 0.7176
Er 0.7609 0.0039 0.0612
Er 0.7609 0.4961 0.5612
Er 0.8483 0.1439 0.5753
Er 0.8483 0.3561 0.0753
Er 0.9842 0.1740 0.9444
Er 0.9842 0.3260 0.4444
B 0.0418 0.1930 0.2215
B 0.0418 0.3070 0.7215
B 0.2094 0.0005 0.6453
B 0.2094 0.4995 0.1453
B 0.4561 0.1730 0.5273
B 0.4561 0.3270 0.0273
B 0.5439 0.6730 0.9727
B 0.5439 0.8270 0.4727
B 0.7906 0.5005 0.8547
B 0.7906 0.9995 0.3547
B 0.9582 0.6930 0.2785
B 0.9582 0.8070 0.7785
O 0.0521 0.1060 0.2005
O 0.0521 0.3940 0.7005
O 0.0543 0.7254 0.2278
O 0.0543 0.7746 0.7278
O 0.0650 0.5793 0.7211
O 0.0650 0.9207 0.2211
O 0.1178 0.2483 0.6773
O 0.1178 0.2517 0.1773
O 0.1463 0.0861 0.6183
O 0.1463 0.4139 0.1183
O 0.1789 0.5518 0.2225
O 0.1789 0.9482 0.7225
O 0.2764 0.7316 0.1224
O 0.2764 0.7684 0.6224
O 0.2866 0.5855 0.6242
O 0.2866 0.9145 0.1242
O 0.2979 0.0982 0.1054
O 0.2979 0.4018 0.6054
O 0.3042 0.5336 0.0932
O 0.3042 0.9664 0.5932
O 0.3589 0.2049 0.5772
O 0.3589 0.2951 0.0772
O 0.4463 0.7328 0.9968
O 0.4463 0.7672 0.4968
O 0.4729 0.0896 0.9641
O 0.4729 0.4104 0.4641
O 0.4752 0.0869 0.5090
O 0.4752 0.4131 0.0090
O 0.5248 0.5869 0.9910
O 0.5248 0.9131 0.4910
O 0.5271 0.5896 0.5359
O 0.5271 0.9104 0.0359
O 0.5537 0.2328 0.5032
O 0.5537 0.2672 0.0032
O 0.6411 0.7049 0.9228
O 0.6411 0.7951 0.4228
O 0.6958 0.0336 0.4068
O 0.6958 0.4664 0.9068
O 0.7021 0.5982 0.3946
O 0.7021 0.9018 0.8946
O 0.7134 0.0855 0.8758
O 0.7134 0.4145 0.3758
O 0.7236 0.2316 0.3776
O 0.7236 0.2684 0.8776
O 0.8211 0.0518 0.2775
O 0.8211 0.4482 0.7775
O 0.8537 0.5861 0.8817
O 0.8537 0.9139 0.3817
O 0.8822 0.7483 0.8227
O 0.8822 0.7517 0.3227
O 0.9350 0.0793 0.7789
O 0.9350 0.4207 0.2789
O 0.9457 0.2254 0.2722
O 0.9457 0.2746 0.7722
O 0.9479 0.6060 0.2995
O 0.9479 0.8940 0.7995

***

No. 7
CeCdPd: relaxed, PBE-GGA.

## Properties
The formation energy is -582 meV per atom.

Unit cell a=7.6920 b=7.6920 c=4.0321 alpha=90.00 beta=90.00 gamma=120.00
Fractional positions:
Ce 0.0000 0.4099 0.0000
Ce 0.4099 0.0000 0.0000
Ce 0.5901 0.5901 0.0000
Cd 0.0000 0.7486 0.5000
Cd 0.2514 0.2514 0.5000
Cd 0.7486 0.0000 0.5000
Pd 0.0000 0.0000 0.0000
Pd 0.3333 0.6667 0.5000
Pd 0.6667 0.3333 0.5000

***

No. 8
ZrSn: relaxed, PBE-GGA.

## Properties
The formation energy is -289 meV per atom.

Unit cell a=7.8017 b=4.6748 c=8.2079 alpha=90.00 beta=106.95 gamma=90.00
Fractional positions:
Zr 0.9998 0.2500 0.1278
Zr 0.0002 0.7500 0.8722
Zr 0.0358 0.2500 0.6350
Zr 0.3559 0.2500 0.4640
Zr 0.6441 0.7500 0.5360
Zr 0.9642 0.7500 0.3650
Sn 0.2793 0.7500 0.2237
Sn 0.2956 0.7500 0.6753
Sn 0.3365 0.2500 0.9734
Sn 0.6635 0.7500 0.0266
Sn 0.7044 0.2500 0.3247
Sn 0.7207 0.2500 0.7763

***

No. 9
BaMg14SnO16: relaxed, PBE-GGA.

## Properties
The formation energy is -2687 meV per atom.

Unit cell a=8.8606 b=8.8606 c=4.5833 alpha=90.00 beta=90.00 gamma=90.00
Fractional positions:
Ba 0.0000 0.0000 0.0000
Mg 0.0000 0.2635 0.5000
Mg 0.0000 0.5000 0.0000
Mg 0.0000 0.7365 0.5000
Mg 0.2427 0.5000 0.5000
Mg 0.2540 0.2540 0.0000
Mg 0.2540 0.7460 0.0000
Mg 0.2635 0.0000 0.5000
Mg 0.5000 0.0000 0.0000
Mg 0.5000 0.2427 0.5000
Mg 0.5000 0.7573 0.5000
Mg 0.7365 0.0000 0.5000
Mg 0.7460 0.2540 0.0000
Mg 0.7460 0.7460 0.0000
Mg 0.7573 0.5000 0.5000
Sn 0.5000 0.5000 0.0000
O 0.0000 0.0000 0.5000
O 0.0000 0.2784 0.0000
O 0.0000 0.5000 0.5000
O 0.0000 0.7216 0.0000
O 0.2336 0.5000 0.0000
O 0.2506 0.2506 0.5000
O 0.2506 0.7494 0.5000
O 0.2784 0.0000 0.0000
O 0.5000 0.0000 0.5000
O 0.5000 0.2336 0.0000
O 0.5000 0.5000 0.5000
O 0.5000 0.7664 0.0000
O 0.7216 0.0000 0.0000
O 0.7494 0.2506 0.5000
O 0.7494 0.7494 0.5000
O 0.7664 0.5000 0.0000

***

No. 10
NdGa4Co9: relaxed, PBE-GGA.

## Properties
The formation energy is -231 meV per atom.

Unit cell a=8.1347 b=8.1347 c=8.1347 alpha=121.20 beta=121.20 gamma=87.93
Fractional positions:
Nd 0.2500 0.2500 0.0000
Nd 0.7500 0.7500 0.0000
Ga 0.0537 0.5537 0.8598
Ga 0.1939 0.0537 0.5000
Ga 0.3061 0.8061 0.8598
Ga 0.4463 0.3061 0.5000
Ga 0.5537 0.6939 0.5000
Ga 0.6939 0.1939 0.1402
Ga 0.8061 0.9463 0.5000
Ga 0.9463 0.4463 0.1402
Co 0.0000 0.5000 0.5000
Co 0.0612 0.1981 0.2593
Co 0.0607 0.7873 0.5000
Co 0.1981 0.9388 0.1369
Co 0.2127 0.7127 0.2734
Co 0.2873 0.5607 0.5000
Co 0.3019 0.4388 0.7407
Co 0.4388 0.6981 0.1369
Co 0.4393 0.9393 0.7266
Co 0.5000 0.0000 0.5000
Co 0.5607 0.0607 0.2734
Co 0.5612 0.3019 0.8631
Co 0.6981 0.5612 0.2593
Co 0.7127 0.4393 0.5000
Co 0.7873 0.2873 0.7266
Co 0.8019 0.0612 0.8631
Co 0.9393 0.2127 0.5000
Co 0.9388 0.8019 0.7407

***

No. 11
K2CO3: relaxed, PBE-GGA.

## Properties
The formation energy is -2115 meV per atom.

Unit cell a=5.7895 b=5.7895 c=7.0385 alpha=93.88 beta=93.88 gamma=120.77
Fractional positions:
K 0.0000 0.0000 0.0000
K 0.0000 0.0000 0.5000
K 0.3335 0.6665 0.7500
K 0.6665 0.3335 0.2500
C 0.3318 0.6682 0.2500
C 0.6682 0.3318 0.7500
O 0.2021 0.7979 0.2500
O 0.2141 0.4212 0.2952
O 0.4212 0.2141 0.7952
O 0.5788 0.7859 0.2048
O 0.7859 0.5788 0.7048
O 0.7979 0.2021 0.7500

***

No. 12
KLaTbGeO6: relaxed, PBE-GGA.

## Properties
The formation energy is -2762 meV per atom.

Unit cell a=5.8122 b=5.8122 c=5.8122 alpha=60.00 beta=60.00 gamma=60.00
Fractional positions:
K 0.0000 0.0000 0.0000
La 0.5000 0.5000 0.5000
Tb 0.2500 0.2500 0.2500
Ge 0.7500 0.7500 0.7500
O 0.5190 0.5190 0.9810
O 0.5190 0.9810 0.5190
O 0.5190 0.9810 0.9810
O 0.9810 0.5190 0.5190
O 0.9810 0.5190 0.9810
O 0.9810 0.9810 0.5190